DFT (PBE) results for an optimized crystal structure of Zr2Ag3F14.

Properties
**Energy relative to the elements**: -5095 kJ/mol of formula units

Unit cell a=9.528 b=6.840 c=9.342 alpha=90.00 beta=91.09 gamma=90.00
Space group C2/m (No. 12)
One atom of each set of equivalent atoms:
Zr: 0.091 0.000 0.214 [4 per cell]
Ag: 0.000 0.500 0.000 [2 per cell]
Ag: 0.188 0.500 0.398 [4 per cell]
F: 0.000 0.000 0.000 [2 per cell]
F: 0.000 0.500 0.500 [2 per cell]
F: 0.063 0.295 0.160 [8 per cell]
F: 0.110 0.000 0.704 [4 per cell]
F: 0.173 0.179 0.384 [8 per cell]
F: 0.225 0.500 0.880 [4 per cell]

DFT (PBE) results for an optimized crystal structure of FeAg3.

Properties
**Energy relative to the elements**: 134 kJ/mol of formula units
**Total magnetic moment**: 12.67 μB/cell

Unit cell a=6.467 b=6.467 c=6.467 alpha=90.00 beta=90.00 gamma=90.00
Space group Fm-3m (No. 225)
One atom of each set of equivalent atoms:
Fe: 0.000 0.000 0.000 [4 per cell]
Ag: 0.000 0.000 0.500 [4 per cell]
Ag: 0.250 0.250 0.250 [8 per cell]

DFT (PBE) results for an optimized crystal structure of FeAg3.

Properties
**Energy relative to the elements**: 131 kJ/mol of formula units
**Total magnetic moment**: 6.06 μB/cell

Unit cell a=5.7770 b=5.7770 c=4.6397 alpha=90.00 beta=90.00 gamma=120.00
Space group P6_3/mmc (No. 194)
One atom of each set of equivalent atoms:
Fe: 0.3333 0.6667 0.2500 [2 per cell]
Ag: 0.1694 0.3388 0.7500 [6 per cell]

DFT (PBE) results for an optimized crystal structure of FeAg.

Properties
**Energy relative to the elements**: 79 kJ/mol of formula units
**Total magnetic moment**: 8.28 μB/cell

Unit cell a=2.7542 b=2.7542 c=13.9216 alpha=90.00 beta=90.00 gamma=120.00
Space group R-3m (No. 166, hexagonal axes)
One atom of each set of equivalent atoms:
Fe: 0.0000 0.0000 0.0000 [3 per cell]
Ag: 0.0000 0.0000 0.5000 [3 per cell]

DFT (PBE) results for an optimized crystal structure of MgFeAgS2.

Properties
**Energy relative to the elements**: -258 kJ/mol of formula units
**Total magnetic moment**: 2.86 μB/cell
**Energy above the most stable polymorph in this dataset**: 0 meV/atom

Unit cell a=3.3555 b=3.3555 c=26.6742 alpha=90.00 beta=90.00 gamma=120.00
Space group R3m (No. 160, hexagonal axes)
One atom of each set of equivalent atoms:
Mg: 0.0000 0.0000 0.0000 [3 per cell]
Fe: 0.0000 0.0000 0.5504 [3 per cell]
Ag: 0.0000 0.0000 0.7464 [3 per cell]
S: 0.0000 0.0000 0.2707 [3 per cell]
S: 0.0000 0.0000 0.8424 [3 per cell]

DFT (PBE) results for an optimized crystal structure of MgFeAgS2.

Properties
**Energy relative to the elements**: -243 kJ/mol of formula units
**Total magnetic moment**: 1.83 μB/cell
**Energy above the most stable polymorph in this dataset**: 31 meV/atom

Unit cell a=5.871 b=3.392 c=8.719 alpha=90.00 beta=103.17 gamma=90.00
Space group Cm (No. 8)
One atom of each set of equivalent atoms:
Mg: 0.000 0.000 0.000 [2 per cell]
Fe: 0.121 0.000 0.360 [2 per cell]
Ag: 0.249 0.000 0.748 [2 per cell]
S: 0.330 0.500 0.483 [2 per cell]
S: 0.398 0.000 0.193 [2 per cell]